Record 1
The following is a DFT calculation (GGA+U) of a relaxed Mn6O5F7 crystal.

## Properties
Energy relative to the lowest polymorph listed for this composition (eV per atom): 0.0389

POSCAR file:
```
Mn6O5F7
1.0
4.602 -3.432 0.000
4.602 3.432 0.000
-2.723 0.000 6.841
Mn O F
6 5 7
Direct
0.000 0.000 0.000
0.008 0.008 0.496
0.331 0.331 0.331
0.356 0.356 0.845
0.646 0.646 0.162
0.687 0.687 0.648
0.106 0.106 0.299
0.316 0.691 0.002
0.561 0.561 0.364
0.691 0.316 0.002
0.911 0.911 0.699
0.004 0.376 0.680
0.008 0.638 0.319
0.237 0.237 0.037
0.376 0.004 0.680
0.453 0.453 0.625
0.638 0.008 0.319
0.759 0.759 0.956
```


Record 2
The following is a DFT calculation (GGA+U) of a relaxed Li2Cr4Si4O13 crystal.

POSCAR file:
```
Li2Cr4Si4O13
1.0
6.940 0.000 0.000
1.340 7.758 0.000
0.310 3.202 9.828
Li Cr Si O
4 8 8 26
Direct
0.221 0.098 0.389
0.248 0.090 0.912
0.752 0.910 0.088
0.779 0.902 0.611
0.069 0.715 0.876
0.082 0.687 0.497
0.428 0.289 0.120
0.433 0.311 0.493
0.567 0.689 0.507
0.572 0.711 0.880
0.918 0.313 0.503
0.931 0.285 0.124
0.072 0.584 0.219
0.277 0.925 0.667
0.281 0.892 0.202
0.377 0.408 0.777
0.623 0.592 0.223
0.719 0.108 0.798
0.723 0.075 0.333
0.928 0.416 0.781
0.097 0.818 0.646
0.114 0.503 0.382
0.137 0.783 0.144
0.144 0.446 0.130
0.162 0.350 0.810
0.230 0.138 0.574
0.237 0.105 0.109
0.258 0.857 0.364
0.273 0.891 0.837
0.400 0.528 0.875
0.402 0.489 0.614
0.499 0.803 0.163
0.500 0.168 0.359
0.500 0.832 0.641
0.501 0.197 0.837
0.598 0.511 0.386
0.600 0.472 0.125
0.727 0.109 0.163
0.742 0.143 0.636
0.763 0.895 0.891
0.770 0.862 0.426
0.838 0.650 0.190
0.856 0.554 0.870
0.863 0.217 0.856
0.886 0.497 0.618
0.903 0.182 0.354
```


Record 3
The following is a DFT calculation (GGA+U) of a relaxed ZnBiMoO5 crystal.

## Properties
Energy relative to the lowest polymorph listed for this composition (eV per atom): 0.0088

POSCAR file:
```
ZnBiMoO5
1.0
5.311 0.000 0.000
0.000 16.058 0.000
0.000 0.000 10.483
Zn Bi Mo O
8 8 8 40
Direct
0.039 0.062 0.124
0.039 0.438 0.624
0.461 0.562 0.124
0.461 0.938 0.624
0.539 0.062 0.376
0.539 0.438 0.876
0.961 0.562 0.376
0.961 0.938 0.876
0.001 0.724 0.141
0.001 0.776 0.641
0.499 0.224 0.141
0.499 0.276 0.641
0.501 0.724 0.359
0.501 0.776 0.859
0.999 0.224 0.359
0.999 0.276 0.859
0.017 0.084 0.624
0.017 0.416 0.124
0.483 0.584 0.624
0.483 0.916 0.124
0.517 0.084 0.876
0.517 0.416 0.376
0.983 0.584 0.876
0.983 0.916 0.376
0.114 0.195 0.673
0.114 0.305 0.173
0.177 0.648 0.287
0.177 0.852 0.787
0.196 0.627 0.015
0.196 0.873 0.515
0.222 0.543 0.526
0.222 0.957 0.026
0.226 0.531 0.775
0.226 0.969 0.275
0.274 0.031 0.775
0.274 0.469 0.275
0.278 0.043 0.526
0.278 0.457 0.026
0.304 0.127 0.015
0.304 0.373 0.515
0.323 0.148 0.287
0.323 0.352 0.787
0.386 0.695 0.673
0.386 0.805 0.173
0.614 0.195 0.827
0.614 0.305 0.327
0.677 0.648 0.213
0.677 0.852 0.713
0.696 0.627 0.485
0.696 0.873 0.985
0.722 0.543 0.974
0.722 0.957 0.474
0.726 0.531 0.725
0.726 0.969 0.225
0.774 0.031 0.725
0.774 0.469 0.225
0.778 0.043 0.974
0.778 0.457 0.474
0.804 0.127 0.485
0.804 0.373 0.985
0.823 0.148 0.213
0.823 0.352 0.713
0.886 0.695 0.827
0.886 0.805 0.327
```


no.,magnetic moment (μB/cell),electronic total energy (eV for the cell shown)
1,25.0,-119.667
2,32.0,-345.687
3,8.0,-384.616